Entry 1:
A plane-wave DFT calculation with PBE was carried out for CoSnN after structural relaxation.

Cell lengths 3.0507, 5.2728, 11.7746 Å; angles 90.00, 90.00, 90.00 degrees
With the nearest neighbours (Å) after each atom.
Space group Cmc2_1 (No. 36)
Asymmetric unit:
Co1 0.0000 0.1637 0.0000 (multiplicity 4)  3 N 1.83
Sn1 0.0000 0.4987 0.3034 (multiplicity 4)  3 Co 2.90-2.92, 6 Sn 3.05
N1 0.0000 0.1703 0.5431 (multiplicity 4)  3 Co 1.83

***

Entry 2:
A plane-wave DFT calculation with PBE was carried out for SrCo7N10 after structural relaxation.

Cell lengths 6.9855, 7.1651, 9.6656 Å; angles 90.00, 107.25, 90.00 degrees
With the nearest neighbours (Å) after each atom.
Space group Pc (No. 7)
Asymmetric unit:
Sr1 0.0000 0.0137 0.0000 (multiplicity 2)  5 N 2.63-2.86
Co1 0.1925 0.3778 0.4216 (multiplicity 2)  4 N 1.73-1.80
Co2 0.3783 0.3648 0.7300 (multiplicity 2)  4 N 1.76-1.80
Co3 0.4546 0.0319 0.3689 (multiplicity 2)  4 N 1.73-1.83
Co4 0.5716 0.3665 0.0363 (multiplicity 2)  4 N 1.77-1.84
Co5 0.6345 0.0291 0.6830 (multiplicity 2)  4 N 1.75-1.84
Co6 0.7503 0.3734 0.3419 (multiplicity 2)  4 N 1.77-1.81
Co7 0.9376 0.3679 0.6642 (multiplicity 2)  4 N 1.76-1.81
N1 0.1744 0.4403 0.7899 (multiplicity 2)  3 Co 1.77-1.81
N2 0.2428 0.1584 0.3674 (multiplicity 2)  2 Co 1.73
N3 0.3890 0.4796 0.5672 (multiplicity 2)  3 Co 1.78-1.80
N4 0.4042 0.1223 0.7114 (multiplicity 2)  3 Co 1.76-1.84
N5 0.5671 0.1103 0.0239 (multiplicity 2)  3 Co 1.78-1.84
N6 0.5965 0.4408 0.8663 (multiplicity 2)  3 Co 1.77-1.78
N7 0.6708 0.1387 0.3327 (multiplicity 2)  3 Co 1.77-1.84
N8 0.7950 0.4291 0.1711 (multiplicity 2)  3 Co 1.77-1.81
N9 0.8620 0.1471 0.7078 (multiplicity 2)  2 Co 1.75-1.76
N10 0.9800 0.3792 0.4893 (multiplicity 2)  3 Co 1.79-1.80

***

| no. | magnetization (μB per cell) | calculated formation energy (eV/f.u.) |
| --- | --- | --- |
| 1 | 0.0 | 0.555 |
| 2 | 0.0 | 0.921 |